(1)
Here is a relaxed structure of CaSi8O16 from the Materials Project database. Energies are from PBE.

Properties
SG   Pc, No. 7
Calculated formation energy   -3.041 eV per atom

Cell lengths 14.0670, 6.7542, 10.1024 Å; angles 68.98, 90.00, 90.00 degrees
Positions (direct):
O 0.7626 0.8129 0.0487
Si 0.5288 0.1917 0.8539
O 0.8858 0.6764 0.5403
O 0.9594 0.3896 0.7734
O 0.9208 0.0400 0.9838
Si 0.0268 0.5005 0.1027
Si 0.0036 0.2126 0.9168
Si 0.1454 0.8726 0.8914
O 0.6114 0.0127 0.9089
Si 0.4958 0.4862 0.5392
Si 0.5042 0.4862 0.0392
Si 0.6487 0.8258 0.0531
Si 0.9732 0.5005 0.6027
O 0.5297 0.3447 0.9455
Si 0.4712 0.1917 0.3539
Si 0.1274 0.8243 0.5905
O 0.3886 0.0127 0.4089
O 0.5503 0.3389 0.6870
O 0.4248 0.0805 0.8658
O 0.9671 0.3249 0.5285
Si 0.3721 0.8751 0.8524
O 0.0792 0.0400 0.4838
O 0.5752 0.0805 0.3658
O 0.9012 0.0973 0.3833
O 0.5830 0.6541 0.4668
Si 0.6279 0.8751 0.3524
Si 0.8546 0.8726 0.3914
Si 0.3513 0.8258 0.5531
O 0.2619 0.8697 0.9075
O 0.4497 0.3389 0.1870
Si 0.9964 0.2126 0.4168
O 0.0406 0.3896 0.2735
O 0.7381 0.8697 0.4075
O 0.6000 0.5985 0.0674
Si 0.8726 0.8243 0.0905
O 0.4703 0.3447 0.4455
Ca 0.2777 0.5093 0.1371
O 0.4170 0.6541 0.9668
O 0.1153 0.8174 0.7535
O 0.8847 0.8174 0.2535
Ca 0.7223 0.5093 0.6371
O 0.0751 0.6207 0.5718
O 0.4000 0.5985 0.5674
O 0.0329 0.3249 0.0285
O 0.9249 0.6207 0.0718
O 0.3829 0.8819 0.6917
O 0.0988 0.0973 0.8833
O 0.1142 0.6764 0.0403
O 0.2374 0.8129 0.5487
O 0.6171 0.8819 0.1917


(2)
Here is a relaxed structure of RbRe3Br10 from the Materials Project database. Energies are from PBE.

Properties
SG   C2/m, No. 12
Calculated formation energy   -0.960 eV per atom

Cell lengths 9.5396, 9.5396, 10.6707 Å; angles 88.11, 88.11, 71.08 degrees
Positions (direct):
Br 0.3984 0.7100 0.7004
Br 0.5291 0.9925 0.8105
Br 0.0023 0.3247 0.5032
Re 0.5915 0.8130 0.6267
Br 0.8388 0.8388 0.0344
Br 0.9176 0.9176 0.7380
Re 0.1870 0.4085 0.3733
Br 0.7100 0.3984 0.7004
Br 0.0075 0.4709 0.1895
Re 0.8130 0.5915 0.6267
Br 0.3673 0.3673 0.0458
Br 0.6435 0.6435 0.4367
Rb 0.2109 0.7891 0.0000
Br 0.1612 0.1612 0.9656
Br 0.4709 0.0075 0.1895
Rb 0.7891 0.2109 0.0000
Br 0.0824 0.0824 0.2620
Br 0.3247 0.0023 0.5032
Br 0.3565 0.3565 0.5633
Br 0.6753 0.9977 0.4968
Br 0.9925 0.5291 0.8105
Br 0.2900 0.6016 0.2996
Br 0.6016 0.2900 0.2996
Re 0.2384 0.2384 0.1940
Re 0.7616 0.7616 0.8060
Br 0.9977 0.6753 0.4968
Re 0.4085 0.1870 0.3733
Br 0.6327 0.6327 0.9542


(3)
Here is a relaxed structure of CsO from the Materials Project database. Energies are from PBE.

Properties
SG   Cmcm, No. 63
Calculated formation energy   -0.881 eV per atom

Cell lengths 6.5483, 6.5483, 4.4498 Å; angles 90.00, 90.00, 143.74 degrees
Positions (direct):
O 0.1168 0.8832 0.2500
Cs 0.3749 0.6251 0.2500
O 0.8832 0.1168 0.7500
Cs 0.6251 0.3749 0.7500


Question: The highest calculated formation energy belongs to which entry?
Answer: CsO